Dy2Ti2O7: optimized geometry, PBE-GGA.

Properties
ΔE_f	-3.77	eV per atom
SG	Fd-3m (227)

Lattice parameters (Å, degrees): 7.1914 7.1914 7.1914 60.00 60.00 60.00
Fractional coordinates of all 22 atoms:
Dy 0.0000 0.0000 0.0000
Dy 0.0000 0.0000 0.5000
Dy 0.0000 0.5000 0.0000
Dy 0.5000 0.0000 0.0000
Ti 0.0000 0.5000 0.5000
Ti 0.5000 0.0000 0.5000
Ti 0.5000 0.5000 0.0000
Ti 0.5000 0.5000 0.5000
O 0.1250 0.1250 0.1250
O 0.1698 0.1698 0.5802
O 0.1698 0.5802 0.1698
O 0.1698 0.5802 0.5802
O 0.4198 0.4198 0.8302
O 0.4198 0.8302 0.4198
O 0.4198 0.8302 0.8302
O 0.5802 0.1698 0.1698
O 0.5802 0.1698 0.5802
O 0.5802 0.5802 0.1698
O 0.8302 0.4198 0.4198
O 0.8302 0.4198 0.8302
O 0.8302 0.8302 0.4198
O 0.8750 0.8750 0.8750

=====

Dy2Ti2O7: optimized geometry, PBE-GGA.

Properties
ΔE_f	-3.75	eV per atom
SG	C2/m (12)

Lattice parameters (Å, degrees): 7.2425 7.2425 23.7753 99.23 99.23 59.61
Fractional coordinates of all 88 atoms:
Dy 0.0000 0.0000 0.0000
Dy 0.1250 0.6246 0.8757
Dy 0.1258 0.1258 0.8756
Dy 0.1338 0.6394 0.3706
Dy 0.1405 0.1405 0.3869
Dy 0.2567 0.2567 0.7502
Dy 0.3606 0.8662 0.6294
Dy 0.3754 0.8750 0.1243
Dy 0.5000 0.5000 0.5000
Dy 0.6246 0.1250 0.8757
Dy 0.6394 0.1338 0.3706
Dy 0.7433 0.7433 0.2498
Dy 0.8595 0.8595 0.6131
Dy 0.8662 0.3606 0.6294
Dy 0.8742 0.8742 0.1244
Dy 0.8750 0.3754 0.1243
Ti 0.0000 0.0000 0.5000
Ti 0.0000 0.5000 0.0000
Ti 0.0000 0.5000 0.5000
Ti 0.2361 0.7505 0.7485
Ti 0.2495 0.7639 0.2515
Ti 0.2601 0.2601 0.2512
Ti 0.3720 0.3720 0.6311
Ti 0.3779 0.3779 0.1265
Ti 0.5000 0.0000 0.0000
Ti 0.5000 0.0000 0.5000
Ti 0.5000 0.5000 0.0000
Ti 0.6221 0.6221 0.8735
Ti 0.6280 0.6280 0.3689
Ti 0.7399 0.7399 0.7488
Ti 0.7505 0.2361 0.7485
Ti 0.7639 0.2495 0.2515
O 0.0154 0.0154 0.5818
O 0.0305 0.0305 0.0942
O 0.0543 0.0543 0.7701
O 0.0570 0.6513 0.7687
O 0.0871 0.4992 0.0828
O 0.1152 0.4988 0.5827
O 0.1170 0.6772 0.4843
O 0.1448 0.5637 0.2676
O 0.1729 0.7504 0.6680
O 0.1891 0.6007 0.9798
O 0.1899 0.1899 0.9800
O 0.2226 0.2226 0.6581
O 0.2496 0.8271 0.3320
O 0.2542 0.2542 0.1684
O 0.2593 0.2593 0.4740
O 0.2588 0.6608 0.1682
O 0.2738 0.2738 0.3395
O 0.2810 0.2810 0.8446
O 0.3228 0.8830 0.5157
O 0.3392 0.7412 0.8318
O 0.3487 0.9430 0.2313
O 0.3993 0.8109 0.0202
O 0.4299 0.4299 0.7233
O 0.4363 0.8552 0.7324
O 0.4940 0.4940 0.4042
O 0.4980 0.4980 0.0824
O 0.4992 0.0871 0.0828
O 0.4988 0.1152 0.5827
O 0.5012 0.8848 0.4173
O 0.5008 0.9129 0.9172
O 0.5020 0.5020 0.9176
O 0.5060 0.5060 0.5958
O 0.5637 0.1448 0.2676
O 0.5701 0.5701 0.2767
O 0.6007 0.1891 0.9798
O 0.6513 0.0570 0.7687
O 0.6608 0.2588 0.1682
O 0.6772 0.1170 0.4843
O 0.7190 0.7190 0.1554
O 0.7262 0.7262 0.6605
O 0.7412 0.3392 0.8318
O 0.7407 0.7407 0.5260
O 0.7458 0.7458 0.8316
O 0.7504 0.1729 0.6680
O 0.7774 0.7774 0.3419
O 0.8101 0.8101 0.0200
O 0.8109 0.3993 0.0202
O 0.8271 0.2496 0.3320
O 0.8552 0.4363 0.7324
O 0.8830 0.3228 0.5157
O 0.8848 0.5012 0.4173
O 0.9129 0.5008 0.9172
O 0.9430 0.3487 0.2313
O 0.9457 0.9457 0.2299
O 0.9695 0.9695 0.9058
O 0.9846 0.9846 0.4182

=====

Dy2Ti2O7: optimized geometry, PBE-GGA.

Properties
ΔE_f	-3.42	eV per atom
SG	Imma (74)

Lattice parameters (Å, degrees): 7.2495 7.2495 7.2495 122.65 118.67 88.89
Fractional coordinates of all 22 atoms:
Dy 0.0000 0.0000 0.5000
Dy 0.0000 0.5000 0.0000
Dy 0.5000 0.0000 0.0000
Dy 0.5000 0.5000 0.5000
Ti 0.0000 0.0000 0.0000
Ti 0.0000 0.5000 0.5000
Ti 0.5000 0.0000 0.5000
Ti 0.5000 0.5000 0.0000
O 0.1096 0.3451 0.2141
O 0.1096 0.8955 0.7645
O 0.1355 0.3855 0.7500
O 0.2992 0.0492 0.2500
O 0.3662 0.6162 0.7500
O 0.3689 0.1045 0.7141
O 0.3689 0.6549 0.2645
O 0.6311 0.3451 0.7355
O 0.6311 0.8955 0.2859
O 0.6338 0.3838 0.2500
O 0.7008 0.9508 0.7500
O 0.8645 0.6145 0.2500
O 0.8904 0.1045 0.2355
O 0.8904 0.6549 0.7859

=====

Dy2TiO5: optimized geometry, PBE-GGA.

Properties
ΔE_f	-3.69	eV per atom
SG	P1 (1)
offset from the most stable computed form	198	meV/atom

Lattice parameters (Å, degrees): 7.3752 7.4869 12.4771 91.14 106.43 118.27
Fractional coordinates of all 40 atoms:
Dy 0.0000 0.0000 0.0000
Dy 0.0040 0.9867 0.4905
Dy 0.0149 0.5265 0.5016
Dy 0.0260 0.7490 0.7628
Dy 0.0624 0.2951 0.2620
Dy 0.4837 0.6942 0.7468
Dy 0.4892 0.4861 0.0382
Dy 0.5032 0.0202 0.0265
Dy 0.5093 0.1917 0.7533
Dy 0.9748 0.5070 0.9998
Ti 0.0060 0.2514 0.7542
Ti 0.4617 0.9511 0.5153
Ti 0.4708 0.2343 0.2458
Ti 0.5114 0.7736 0.2557
Ti 0.9822 0.7255 0.2566
O 0.0435 0.2768 0.4315
O 0.1236 0.4885 0.6954
O 0.1335 0.3270 0.9182
O 0.1414 0.8171 0.9551
O 0.1426 0.8017 0.4168
O 0.1558 0.6258 0.2179
O 0.1648 0.1419 0.7195
O 0.2131 0.0736 0.2693
O 0.3602 0.1918 0.0884
O 0.3737 0.1311 0.5638
O 0.3778 0.7180 0.5795
O 0.4193 0.4733 0.2518
O 0.4236 0.9051 0.8255
O 0.4312 0.7242 0.0892
O 0.5651 0.8986 0.4074
O 0.5835 0.0636 0.2245
O 0.5941 0.3323 0.9373
O 0.7312 0.1032 0.6426
O 0.7949 0.4675 0.2849
O 0.8036 0.8430 0.2948
O 0.8305 0.8805 0.8183
O 0.8418 0.4422 0.8026
O 0.8538 0.7175 0.0896
O 0.8782 0.1851 0.0744
O 0.9067 0.7124 0.5765